Run w
VASP calculation (GGA+U) on MgW4O12 after structural relaxation.

a b c (Å): 5.242 5.495 7.610
angles (deg): 89.42 89.82 89.96
Positions (direct):
Mg (0.000, 0.000, 0.000)
W (0.486, 0.057, 0.267)
W (0.489, 0.074, 0.759)
W (0.979, 0.549, 0.264)
W (0.984, 0.563, 0.759)
O (0.078, 0.546, 0.500)
O (0.174, 0.267, 0.197)
O (0.175, 0.251, 0.825)
O (0.253, 0.800, 0.207)
O (0.257, 0.784, 0.812)
O (0.393, 0.067, 0.503)
O (0.609, 0.082, 0.020)
O (0.683, 0.362, 0.301)
O (0.686, 0.379, 0.721)
O (0.765, 0.852, 0.309)
O (0.773, 0.873, 0.722)
O (0.896, 0.615, 0.020)

Computed properties:
Space group: No. 1
Crystal system: triclinic

=====

Run x
VASP calculation (GGA+U) on MgW4O12 after structural relaxation.

a b c (Å): 5.382 5.382 7.813
angles (deg): 90.00 90.00 90.00
Positions (direct):
Mg (0.000, 0.000, 0.000)
W (0.000, 0.500, 0.254)
W (0.000, 0.500, 0.748)
W (0.500, 0.000, 0.252)
W (0.500, 0.000, 0.746)
O (0.000, 0.500, 0.505)
O (0.000, 0.500, 0.997)
O (0.180, 0.817, 0.225)
O (0.183, 0.180, 0.775)
O (0.300, 0.688, 0.748)
O (0.312, 0.300, 0.252)
O (0.500, 0.000, 0.003)
O (0.500, 0.000, 0.495)
O (0.688, 0.700, 0.252)
O (0.700, 0.312, 0.748)
O (0.817, 0.820, 0.775)
O (0.820, 0.183, 0.225)

Computed properties:
Space group: No. 81
Crystal system: tetragonal

=====

Quick one: most stable of them? run w

=====

Run w
VASP calculation (GGA+U) on Li2Mn3CuO8 after structural relaxation.

a b c (Å): 8.199 8.311 8.332
angles (deg): 90.05 90.06 90.05
Positions (direct):
Li (0.000, 0.000, 0.000)
Li (0.004, 0.503, 0.500)
Li (0.131, 0.877, 0.629)
Li (0.374, 0.379, 0.376)
Li (0.499, 0.002, 0.504)
Li (0.505, 0.500, 0.004)
Li (0.631, 0.125, 0.877)
Li (0.875, 0.628, 0.129)
Mn (0.128, 0.131, 0.374)
Mn (0.128, 0.372, 0.126)
Mn (0.129, 0.626, 0.875)
Mn (0.374, 0.127, 0.130)
Mn (0.376, 0.872, 0.880)
Mn (0.377, 0.630, 0.632)
Mn (0.628, 0.631, 0.379)
Mn (0.628, 0.874, 0.132)
Mn (0.629, 0.375, 0.629)
Mn (0.875, 0.877, 0.376)
Mn (0.876, 0.372, 0.873)
Mn (0.877, 0.131, 0.626)
Cu (0.240, 0.747, 0.257)
Cu (0.266, 0.246, 0.749)
Cu (0.741, 0.259, 0.247)
Cu (0.765, 0.755, 0.756)
O (0.108, 0.895, 0.379)
O (0.114, 0.131, 0.603)
O (0.118, 0.387, 0.887)
O (0.122, 0.359, 0.351)
O (0.134, 0.602, 0.110)
O (0.137, 0.137, 0.139)
O (0.144, 0.851, 0.881)
O (0.148, 0.624, 0.647)
O (0.356, 0.126, 0.358)
O (0.360, 0.352, 0.123)
O (0.367, 0.636, 0.867)
O (0.368, 0.101, 0.896)
O (0.383, 0.858, 0.654)
O (0.386, 0.888, 0.118)
O (0.390, 0.632, 0.403)
O (0.396, 0.394, 0.626)
O (0.607, 0.110, 0.128)
O (0.614, 0.871, 0.904)
O (0.618, 0.615, 0.618)
O (0.621, 0.646, 0.154)
O (0.634, 0.402, 0.395)
O (0.638, 0.866, 0.367)
O (0.644, 0.150, 0.623)
O (0.648, 0.377, 0.857)
O (0.856, 0.880, 0.148)
O (0.860, 0.652, 0.381)
O (0.866, 0.366, 0.638)
O (0.870, 0.901, 0.610)
O (0.882, 0.144, 0.851)
O (0.887, 0.116, 0.388)
O (0.891, 0.371, 0.102)
O (0.896, 0.608, 0.879)

Computed properties:
Space group: No. 1
Crystal system: triclinic

=====

Run x
VASP calculation (GGA+U) on Li2Mn3CuO8 after structural relaxation.

a b c (Å): 8.301 8.333 8.384
angles (deg): 89.77 89.92 89.90
Positions (direct):
Li (0.000, 0.000, 0.000)
Li (0.011, 0.492, 0.499)
Li (0.247, 0.252, 0.739)
Li (0.258, 0.750, 0.248)
Li (0.497, 0.989, 0.489)
Li (0.511, 0.503, 0.991)
Li (0.748, 0.741, 0.750)
Li (0.762, 0.239, 0.240)
Mn (0.124, 0.867, 0.625)
Mn (0.128, 0.628, 0.878)
Mn (0.133, 0.378, 0.121)
Mn (0.371, 0.875, 0.873)
Mn (0.376, 0.125, 0.114)
Mn (0.384, 0.375, 0.361)
Mn (0.625, 0.118, 0.864)
Mn (0.631, 0.366, 0.612)
Mn (0.634, 0.617, 0.368)
Mn (0.875, 0.113, 0.619)
Mn (0.884, 0.862, 0.376)
Mn (0.887, 0.624, 0.126)
Cu (0.129, 0.119, 0.367)
Cu (0.378, 0.619, 0.619)
Cu (0.631, 0.870, 0.118)
Cu (0.879, 0.373, 0.868)
O (0.106, 0.099, 0.619)
O (0.114, 0.856, 0.401)
O (0.119, 0.396, 0.888)
O (0.121, 0.612, 0.111)
O (0.132, 0.635, 0.649)
O (0.136, 0.863, 0.860)
O (0.143, 0.150, 0.120)
O (0.157, 0.385, 0.348)
O (0.356, 0.862, 0.639)
O (0.359, 0.648, 0.885)
O (0.364, 0.899, 0.100)
O (0.369, 0.139, 0.345)
O (0.372, 0.361, 0.127)
O (0.388, 0.114, 0.878)
O (0.395, 0.379, 0.593)
O (0.408, 0.603, 0.354)
O (0.602, 0.887, 0.870)
O (0.612, 0.111, 0.095)
O (0.621, 0.379, 0.378)
O (0.626, 0.597, 0.599)
O (0.637, 0.130, 0.628)
O (0.639, 0.353, 0.844)
O (0.649, 0.847, 0.369)
O (0.656, 0.631, 0.136)
O (0.854, 0.112, 0.848)
O (0.862, 0.342, 0.613)
O (0.870, 0.628, 0.362)
O (0.888, 0.878, 0.611)
O (0.889, 0.094, 0.386)
O (0.894, 0.853, 0.151)
O (0.896, 0.629, 0.899)
O (0.903, 0.392, 0.126)

Computed properties:
Space group: No. 1
Crystal system: triclinic

=====

Quick one: most stable of them? run x

=====

Run w
VASP calculation (GGA+U) on MgNi4O8 after structural relaxation.

a b c (Å): 7.455 7.455 9.820
angles (deg): 127.75 127.75 22.38
Positions (direct):
Mg (0.000, 0.000, 0.000)
Ni (0.137, 0.137, 0.437)
Ni (0.353, 0.353, 0.133)
Ni (0.701, 0.701, 0.189)
Ni (0.784, 0.784, 0.761)
O (0.145, 0.145, 0.253)
O (0.160, 0.160, 0.030)
O (0.177, 0.177, 0.673)
O (0.397, 0.397, 0.833)
O (0.532, 0.532, 0.329)
O (0.745, 0.745, 0.542)
O (0.855, 0.855, 0.261)
O (0.856, 0.856, 0.007)

Computed properties:
Space group: No. 8
Crystal system: monoclinic

=====

Run x
VASP calculation (GGA+U) on MgNi4O8 after structural relaxation.

a b c (Å): 6.867 6.867 9.125
angles (deg): 130.08 130.08 24.43
Positions (direct):
Mg (0.000, 0.000, 0.000)
Ni (0.000, 0.000, 0.313)
Ni (0.203, 0.203, 0.021)
Ni (0.513, 0.513, 0.660)
Ni (0.714, 0.714, 0.377)
O (0.135, 0.135, 0.757)
O (0.192, 0.192, 0.491)
O (0.211, 0.211, 0.242)
O (0.489, 0.489, 0.436)
O (0.518, 0.518, 0.174)
O (0.556, 0.556, 0.908)
O (0.819, 0.819, 0.096)
O (0.898, 0.898, 0.588)

Computed properties:
Space group: No. 8
Crystal system: monoclinic

=====

Run y
VASP calculation (GGA+U) on MgNi4O8 after structural relaxation.

a b c (Å): 7.664 7.664 8.835
angles (deg): 121.95 121.95 21.13
Positions (direct):
Mg (0.000, 0.000, 0.000)
Ni (0.162, 0.162, 0.353)
Ni (0.327, 0.327, 0.991)
Ni (0.675, 0.675, 0.013)
Ni (0.835, 0.835, 0.648)
O (0.083, 0.083, 0.886)
O (0.271, 0.271, 0.134)
O (0.322, 0.322, 0.497)
O (0.382, 0.382, 0.834)
O (0.617, 0.617, 0.168)
O (0.676, 0.676, 0.504)
O (0.731, 0.731, 0.871)
O (0.919, 0.919, 0.118)

Computed properties:
Space group: No. 8
Crystal system: monoclinic

=====

Quick one: most stable of them? run x